## Ba2TaMnO6 (PBE with a Hubbard U)

Data for a geometry-optimized Ba2TaMnO6 structure. Values from VASP.

Geometry as Quantum ESPRESSO input:
```
&SYSTEM
  ibrav = 0, nat = 40, ntyp = 4
/
ATOMIC_SPECIES
Ta 180.95 Ta.upf
Ba 137.33 Ba.upf
O 16.00 O.upf
Mn 54.94 Mn.upf
ATOMIC_POSITIONS angstrom
Ta -6.1832 -6.2860 6.0425
Ta 2.1213 2.0160 6.0286
Ta -2.1371 -2.0263 6.0441
Ta -6.2996 -6.1803 14.1029
Ba -8.3497 -8.2696 12.0912
Ba -8.3472 -8.2684 8.0708
Ba 0.0152 4.1183 4.0225
Ba 0.0270 -0.0417 4.0194
Ba -4.1345 -4.1965 12.0677
Ba -4.1331 -4.1975 8.0553
Ba -4.1870 -4.1149 4.0329
Ba -0.0413 0.0304 8.0514
O 2.1403 1.9905 8.0524
O -6.1641 -6.3110 8.0668
O 2.1650 -0.0846 5.9964
O -2.1787 0.0728 6.0767
O -10.3251 -10.4596 12.0784
O -8.5119 -6.1209 10.0660
O -10.4566 -10.3077 8.0854
O -6.1488 -4.3441 6.0281
O -10.4884 -8.1115 10.0985
O -6.1764 -2.1468 8.0415
O -6.3314 -8.2365 10.1161
O -6.1524 -4.2296 10.0297
O -3.9704 -6.3441 10.0785
O -6.3191 -6.1558 12.0797
O -2.1724 -3.9685 6.0598
O -4.2323 -1.9900 6.0223
O -2.1549 -2.0067 8.0657
O 2.1554 3.9574 6.0148
O 0.0612 1.9919 2.0333
O 0.1782 1.9685 6.0436
O -0.1942 -1.9894 6.0223
O -4.1007 -2.1651 10.0868
O -8.3815 -10.3027 10.0594
O -2.1569 -2.0008 4.0206
Mn -2.0782 -2.0781 2.0173
Mn -2.0886 -2.0826 10.0630
Mn -10.3945 -10.3825 10.0821
Mn -6.2421 -6.2337 10.0718
CELL_PARAMETERS angstrom
4.1559 -0.0117 4.0194
-0.0136 4.1558 4.0210
-12.4671 -12.4581 8.0724
```

Output
total DFT energy (no corrections)	-7.9464	eV/atom
formation energy from the elements	-3071	meV per atom